Entry 1:
Entry from Materials Project: crystalline RbPO4 at its relaxed geometry (PBE).

Calculated total energy in eV/cell: -71.3
MP2020-corrected energy in eV per atom: -6.40
ΔH_f (0 K) in eV/atom: -2.038

abc: 6.826 6.826 6.826
angles: 108.30 108.30 111.85
Fractional coordinates of all 12 atoms:
P 0.000 0.000 0.000
P 0.750 0.250 0.500
O 0.165 0.273 0.178
O 0.585 0.262 0.608
O 0.727 0.905 0.892
O 0.023 0.415 0.678
O 0.012 0.835 0.108
O 0.738 0.345 0.322
O 0.095 0.988 0.822
O 0.655 0.977 0.392
Rb 0.250 0.750 0.500
Rb 0.500 0.500 0.000



Entry 2:
Entry from Materials Project: crystalline RbPO4 at its relaxed geometry (PBE).

Calculated total energy in eV/cell: -223.7
MP2020-corrected energy in eV per atom: -6.32
ΔH_f (0 K) in eV/atom: -1.958

abc: 8.807 9.701 9.593
angles: 60.66 69.39 66.97
Fractional coordinates of all 36 atoms:
O 0.021 0.378 0.924
O 0.756 0.353 0.891
O 0.979 0.622 0.076
O 0.960 0.686 0.311
O 0.362 0.362 0.575
O 0.575 0.732 0.782
O 0.425 0.268 0.218
O 0.458 0.251 0.531
O 0.542 0.749 0.469
O 0.474 0.941 0.056
O 0.900 0.934 0.905
O 0.100 0.066 0.095
O 0.791 0.902 0.579
O 0.888 0.594 0.690
O 0.203 0.268 0.115
O 0.797 0.732 0.885
O 0.040 0.314 0.689
O 0.209 0.098 0.421
O 0.244 0.647 0.109
O 0.110 0.740 0.769
O 0.890 0.260 0.231
O 0.112 0.406 0.310
O 0.638 0.638 0.425
O 0.526 0.059 0.944
P 0.080 0.604 0.202
P 0.920 0.396 0.798
P 0.250 0.248 0.277
P 0.043 0.231 0.103
P 0.957 0.769 0.897
P 0.750 0.752 0.723
Rb 0.412 0.492 0.854
Rb 0.754 0.023 0.197
Rb 0.588 0.508 0.146
Rb 0.246 0.977 0.803
Rb 0.135 0.810 0.425
Rb 0.865 0.190 0.575